No. 1
VASP calculation (PBE) on a relaxed structure of ZnS.

The structure in CIF format:
```
data_ZnS
_chemical_formula_sum 'Zn18 S18'
_symmetry_space_group_name_H-M 'P 3 m 1'
_symmetry_Int_Tables_number 156
_symmetry_space_group_name_Hall 'P 3 -2"'
_cell_length_a 3.8540
_cell_length_b 3.8540
_cell_length_c 56.6897
_cell_angle_alpha 90.00
_cell_angle_beta 90.00
_cell_angle_gamma 120.00
loop_
_atom_site_label
_atom_site_type_symbol
_atom_site_fract_x
_atom_site_fract_y
_atom_site_fract_z
Zn1 Zn 0.0000 0.0000 0.0000
Zn2 Zn 0.0000 0.0000 0.1111
Zn3 Zn 0.0000 0.0000 0.2778
Zn4 Zn 0.0000 0.0000 0.3889
Zn5 Zn 0.0000 0.0000 0.6111
Zn6 Zn 0.0000 0.0000 0.7778
Zn7 Zn 0.3333 0.6667 0.1667
Zn8 Zn 0.3333 0.6667 0.3333
Zn9 Zn 0.3333 0.6667 0.5000
Zn10 Zn 0.3333 0.6667 0.6667
Zn11 Zn 0.3333 0.6667 0.8333
Zn12 Zn 0.3333 0.6667 0.9445
Zn13 Zn 0.6667 0.3333 0.0556
Zn14 Zn 0.6667 0.3333 0.2222
Zn15 Zn 0.6667 0.3333 0.4444
Zn16 Zn 0.6667 0.3333 0.5556
Zn17 Zn 0.6667 0.3333 0.7222
Zn18 Zn 0.6667 0.3333 0.8889
S1 S 0.0000 0.0000 0.0416
S2 S 0.0000 0.0000 0.1528
S3 S 0.0000 0.0000 0.3194
S4 S 0.0000 0.0000 0.4306
S5 S 0.0000 0.0000 0.6528
S6 S 0.0000 0.0000 0.8194
S7 S 0.3333 0.6667 0.2083
S8 S 0.3333 0.6667 0.3750
S9 S 0.3333 0.6667 0.5417
S10 S 0.3333 0.6667 0.7083
S11 S 0.3333 0.6667 0.8750
S12 S 0.3333 0.6667 0.9861
S13 S 0.6667 0.3333 0.0973
S14 S 0.6667 0.3333 0.2639
S15 S 0.6667 0.3333 0.4861
S16 S 0.6667 0.3333 0.5972
S17 S 0.6667 0.3333 0.7639
S18 S 0.6667 0.3333 0.9306
```

=====

No. 2
VASP calculation (PBE) on a relaxed structure of ZnS.

The structure in CIF format:
```
data_ZnS
_chemical_formula_sum 'Zn28 S28'
_symmetry_space_group_name_H-M 'P 3 m 1'
_symmetry_Int_Tables_number 156
_symmetry_space_group_name_Hall 'P 3 -2"'
_cell_length_a 3.8531
_cell_length_b 3.8531
_cell_length_c 88.1547
_cell_angle_alpha 90.00
_cell_angle_beta 90.00
_cell_angle_gamma 120.00
loop_
_atom_site_label
_atom_site_type_symbol
_atom_site_fract_x
_atom_site_fract_y
_atom_site_fract_z
Zn1 Zn 0.0000 0.0000 0.0000
Zn2 Zn 0.0000 0.0000 0.0714
Zn3 Zn 0.0000 0.0000 0.1786
Zn4 Zn 0.0000 0.0000 0.2500
Zn5 Zn 0.0000 0.0000 0.3214
Zn6 Zn 0.0000 0.0000 0.4286
Zn7 Zn 0.0000 0.0000 0.5357
Zn8 Zn 0.0000 0.0000 0.6429
Zn9 Zn 0.0000 0.0000 0.7500
Zn10 Zn 0.0000 0.0000 0.8571
Zn11 Zn 0.3333 0.6667 0.1071
Zn12 Zn 0.3333 0.6667 0.2143
Zn13 Zn 0.3333 0.6667 0.3571
Zn14 Zn 0.3333 0.6667 0.4643
Zn15 Zn 0.3333 0.6667 0.5714
Zn16 Zn 0.3333 0.6667 0.6786
Zn17 Zn 0.3333 0.6667 0.7857
Zn18 Zn 0.3333 0.6667 0.8929
Zn19 Zn 0.3333 0.6667 0.9643
Zn20 Zn 0.6667 0.3333 0.0357
Zn21 Zn 0.6667 0.3333 0.1429
Zn22 Zn 0.6667 0.3333 0.2857
Zn23 Zn 0.6667 0.3333 0.3929
Zn24 Zn 0.6667 0.3333 0.5000
Zn25 Zn 0.6667 0.3333 0.6071
Zn26 Zn 0.6667 0.3333 0.7143
Zn27 Zn 0.6667 0.3333 0.8214
Zn28 Zn 0.6667 0.3333 0.9286
S1 S 0.0000 0.0000 0.0268
S2 S 0.0000 0.0000 0.0982
S3 S 0.0000 0.0000 0.2053
S4 S 0.0000 0.0000 0.2768
S5 S 0.0000 0.0000 0.3482
S6 S 0.0000 0.0000 0.4554
S7 S 0.0000 0.0000 0.5625
S8 S 0.0000 0.0000 0.6696
S9 S 0.0000 0.0000 0.7768
S10 S 0.0000 0.0000 0.8839
S11 S 0.3333 0.6667 0.1339
S12 S 0.3333 0.6667 0.2411
S13 S 0.3333 0.6667 0.3839
S14 S 0.3333 0.6667 0.4911
S15 S 0.3333 0.6667 0.5982
S16 S 0.3333 0.6667 0.7054
S17 S 0.3333 0.6667 0.8125
S18 S 0.3333 0.6667 0.9196
S19 S 0.3333 0.6667 0.9911
S20 S 0.6667 0.3333 0.0625
S21 S 0.6667 0.3333 0.1697
S22 S 0.6667 0.3333 0.3125
S23 S 0.6667 0.3333 0.4196
S24 S 0.6667 0.3333 0.5268
S25 S 0.6667 0.3333 0.6339
S26 S 0.6667 0.3333 0.7411
S27 S 0.6667 0.3333 0.8482
S28 S 0.6667 0.3333 0.9554
```

=====

no.,total DFT energy (no corrections) (eV per atom)
1,-3.5087
2,-3.5090